A plane-wave DFT calculation with PBE was carried out for a relaxed ZnI2 crystal.

Geometry as extended XYZ:
```
48
Lattice="3.2904 12.0679 8.3600 -10.2293 9.9695 -4.7247 -2.5320 -14.0104 4.8631" Properties=species:S:1:pos:R:3 pbc="T T T"
Zn -11.5357 -2.3346 1.5970
Zn -6.8632 -4.5167 4.8172
Zn -1.7348 9.7719 3.2239
Zn -6.1601 2.7898 -0.5151
Zn -9.1978 1.4161 2.0139
Zn -0.6827 6.5473 6.0880
Zn -2.9010 5.3008 9.4100
Zn 1.1921 13.1335 7.3586
Zn -2.5810 2.8318 6.0617
Zn -7.2535 5.0139 2.8415
Zn -9.8499 4.7357 -0.4283
Zn -5.4247 11.7178 3.3108
Zn -4.9189 -0.9189 5.6449
Zn -0.6728 -2.0092 1.4324
Zn -7.9253 7.2643 6.6087
Zn 0.7428 3.4726 8.5218
I -8.2938 2.8978 4.0253
I -3.0292 -2.1439 7.0195
I -6.4236 10.1138 1.4695
I 0.2124 -1.5808 10.1836
I -9.7012 9.6650 -1.6758
I -4.2846 3.5801 7.9323
I 1.5557 5.5534 7.1178
I -7.9189 4.0228 -2.0788
I -5.8230 -2.4006 3.6334
I -11.0876 2.6411 0.6393
I -5.1612 4.3938 1.3262
I -0.8094 4.1765 10.5598
I -1.8836 4.8426 4.4714
I -6.5417 8.9851 8.0864
I -2.9111 -1.0152 0.4025
I -3.6658 10.4848 4.8744
I -6.1827 6.5845 4.7099
I -3.8336 1.1706 4.3957
I -7.3720 12.3658 5.0115
I -1.5534 -4.0669 2.8797
I -7.9340 -6.0873 2.9489
I -10.2832 -0.6734 3.2630
I -0.9224 14.2097 6.1442
I 0.1979 8.6050 4.6407
I -2.2732 7.4529 8.0012
I -0.9178 2.9148 0.4808
I -2.5517 8.1040 1.3368
I -7.1976 0.5741 0.4972
I -6.0211 19.1227 3.1545
I -0.4377 1.6234 7.0395
I -9.0331 6.4036 1.4588
I -4.3872 13.9335 2.2985
```

## Properties
uncorrected energy	-98.66	eV per cell
ΔE_f	-872	meV per atom
density	4.0	Mg/m³